1.
Computed, not measured: crystalline Li5Mn5P6O24 at its relaxed geometry at the PBE+U level of DFT.

Cell lengths 8.531, 8.588, 8.701 Å; angles 61.97, 62.46, 61.52 degrees
Element x y z (fractional)
Li1 0.000 0.000 0.000
Li2 0.018 0.350 0.824
Li3 0.177 0.352 0.472
Li4 0.504 0.046 0.908
Li5 0.667 0.536 0.796
Mn1 0.200 0.542 0.014
Mn2 0.354 0.685 0.173
Mn3 0.491 0.845 0.308
Mn4 0.700 0.056 0.519
Mn5 0.861 0.195 0.659
P1 0.092 0.141 0.221
P2 0.311 0.945 0.716
P3 0.403 0.448 0.604
P4 0.592 0.236 0.108
P5 0.802 0.739 0.909
P6 0.884 0.665 0.408
O1 0.037 0.163 0.068
O2 0.088 0.634 0.270
O3 0.119 0.108 0.717
O4 0.149 0.303 0.188
O5 0.250 0.391 0.625
O6 0.262 0.949 0.238
O7 0.273 0.795 0.913
O8 0.371 0.501 0.764
O9 0.375 0.875 0.560
O10 0.432 0.438 0.086
O11 0.434 0.604 0.414
O12 0.462 0.004 0.707
O13 0.526 0.088 0.127
O14 0.597 0.278 0.599
O15 0.602 0.767 0.056
O16 0.637 0.196 0.275
O17 0.743 0.721 0.314
O18 0.753 0.255 0.925
O19 0.784 0.942 0.770
O20 0.836 0.591 0.839
O21 0.839 0.816 0.484
O22 0.887 0.473 0.563
O23 0.938 0.121 0.412
O24 0.962 0.695 0.979

=====

2.
Computed, not measured: crystalline Li3Mn3P4O16 at its relaxed geometry at the PBE+U level of DFT.

Cell lengths 6.142, 11.575, 8.411 Å; angles 90.00, 100.12, 90.00 degrees
Element x y z (fractional)
Li1 0.129 0.000 0.444
Li2 0.136 0.300 0.148
Li3 0.369 0.208 0.548
Li4 0.631 0.708 0.452
Li5 0.864 0.800 0.852
Li6 0.871 0.500 0.556
Mn1 0.076 0.687 0.219
Mn2 0.364 0.913 0.842
Mn3 0.413 0.514 0.778
Mn4 0.587 0.014 0.222
Mn5 0.636 0.413 0.158
Mn6 0.924 0.187 0.781
P1 0.067 0.019 0.094
P2 0.136 0.732 0.583
P3 0.374 0.474 0.411
P4 0.448 0.187 0.898
P5 0.552 0.687 0.102
P6 0.626 0.974 0.589
P7 0.864 0.232 0.417
P8 0.933 0.519 0.906
O1 0.007 0.139 0.015
O2 0.081 0.170 0.412
O3 0.106 0.926 0.968
O4 0.118 0.476 0.816
O5 0.133 0.838 0.699
O6 0.139 0.786 0.413
O7 0.157 0.539 0.353
O8 0.232 0.182 0.772
O9 0.276 0.025 0.229
O10 0.346 0.661 0.643
O11 0.362 0.414 0.577
O12 0.376 0.718 0.204
O13 0.393 0.378 0.280
O14 0.410 0.040 0.582
O15 0.438 0.279 0.025
O16 0.496 0.061 0.977
O17 0.504 0.561 0.023
O18 0.562 0.779 0.975
O19 0.590 0.540 0.418
O20 0.607 0.878 0.720
O21 0.624 0.218 0.796
O22 0.638 0.914 0.423
O23 0.654 0.161 0.357
O24 0.724 0.525 0.771
O25 0.768 0.682 0.228
O26 0.843 0.039 0.647
O27 0.861 0.286 0.587
O28 0.867 0.338 0.301
O29 0.882 0.976 0.184
O30 0.894 0.426 0.032
O31 0.919 0.670 0.588
O32 0.993 0.639 0.985

Properties
E above lowest polymorph	45	meV/atom

=====

3.
Computed, not measured: crystalline LiMnP2O7 at its relaxed geometry at the PBE+U level of DFT.

Cell lengths 9.739, 9.748, 11.229 Å; angles 78.44, 89.78, 89.80 degrees
Element x y z (fractional)
Li1 0.000 0.000 0.000
Li2 0.010 0.561 0.976
Li3 0.123 0.258 0.503
Li4 0.187 0.757 0.504
Li5 0.312 0.070 0.977
Li6 0.485 0.809 0.417
Li7 0.795 0.739 0.927
Li8 0.820 0.311 0.414
Mn1 0.124 0.381 0.784
Mn2 0.194 0.885 0.782
Mn3 0.334 0.341 0.286
Mn4 0.485 0.945 0.631
Mn5 0.618 0.414 0.124
Mn6 0.681 0.925 0.120
Mn7 0.824 0.445 0.630
Mn8 0.974 0.841 0.288
P1 0.059 0.517 0.378
P2 0.117 0.268 0.070
P3 0.195 0.767 0.069
P4 0.249 0.017 0.377
P5 0.330 0.214 0.711
P6 0.350 0.622 0.707
P7 0.466 0.677 0.195
P8 0.474 0.084 0.195
P9 0.545 0.269 0.526
P10 0.611 0.529 0.842
P11 0.695 0.038 0.843
P12 0.761 0.770 0.525
P13 0.837 0.587 0.195
P14 0.844 0.180 0.194
P15 0.960 0.121 0.710
P16 0.977 0.711 0.712
O1 0.054 0.029 0.808
O2 0.068 0.376 0.956
O3 0.071 0.666 0.398
O4 0.075 0.836 0.131
O5 0.097 0.807 0.654
O6 0.110 0.951 0.358
O7 0.140 0.128 0.038
O8 0.164 0.631 0.035
O9 0.197 0.448 0.361
O10 0.213 0.312 0.646
O11 0.234 0.328 0.136
O12 0.237 0.166 0.397
O13 0.244 0.881 0.957
O14 0.247 0.537 0.797
O15 0.315 0.747 0.168
O16 0.319 0.064 0.684
O17 0.323 0.222 0.843
O18 0.325 0.629 0.575
O19 0.328 0.026 0.248
O20 0.334 0.919 0.472
O21 0.362 0.777 0.738
O22 0.461 0.527 0.163
O23 0.464 0.353 0.419
O24 0.470 0.280 0.652
O25 0.479 0.076 0.063
O26 0.487 0.233 0.224
O27 0.491 0.676 0.325
O28 0.495 0.547 0.738
O29 0.549 0.110 0.522
O30 0.556 0.428 0.956
O31 0.565 0.768 0.103
O32 0.579 0.967 0.787
O33 0.586 0.980 0.260
O34 0.617 0.828 0.541
O35 0.642 0.672 0.865
O36 0.672 0.175 0.877
O37 0.689 0.325 0.538
O38 0.727 0.481 0.254
O39 0.729 0.456 0.784
O40 0.746 0.272 0.103
O41 0.756 0.614 0.520
O42 0.762 0.929 0.954
O43 0.811 0.055 0.736
O44 0.818 0.173 0.325
O45 0.823 0.736 0.226
O46 0.839 0.781 0.650
O47 0.841 0.591 0.060
O48 0.841 0.858 0.419
O49 0.852 0.033 0.155
O50 0.954 0.273 0.742
O51 0.967 0.717 0.845
O52 0.971 0.419 0.473
O53 0.982 0.527 0.249
O54 0.991 0.563 0.685
O55 0.993 0.251 0.167
O56 0.994 0.123 0.581

Properties
E above lowest polymorph	67	meV/atom

=====

| no. | DFT total energy (eV per cell) | theoretical density (kg/m³) | ΔE_f (eV per formula unit) |
| --- | --- | --- | --- |
| 1 | -282.2 | 3102 | -100.41 |
| 2 | -365.6 | 3190 | -64.75 |
| 3 | -620.3 | 2999 | -27.49 |